No. 1
Mo3H9Br3Cl4O4: optimized geometry, PBE+U.

a b c (Å): 10.252 9.876 18.231
angles (deg): 79.37 90.00 90.00
Positions (direct):
Mo (0.210, 0.108, 0.503)
Mo (0.893, 0.211, 0.498)
Mo (0.393, 0.789, 0.002)
Mo (0.710, 0.892, 0.997)
Mo (0.607, 0.211, 0.998)
Mo (0.790, 0.892, 0.497)
Mo (0.004, 0.047, 0.362)
Mo (0.290, 0.108, 0.003)
Mo (0.504, 0.953, 0.138)
Mo (0.496, 0.047, 0.862)
Mo (0.996, 0.953, 0.638)
Mo (0.107, 0.789, 0.502)
H (0.678, 0.265, 0.708)
H (0.452, 0.189, 0.282)
H (0.080, 0.516, 0.104)
H (0.227, 0.553, 0.760)
H (0.208, 0.455, 0.196)
H (0.792, 0.545, 0.804)
H (0.580, 0.484, 0.396)
H (0.071, 0.251, 0.854)
H (0.335, 0.390, 0.255)
H (0.165, 0.390, 0.755)
H (0.048, 0.189, 0.782)
H (0.322, 0.735, 0.292)
H (0.429, 0.251, 0.354)
H (0.727, 0.447, 0.740)
H (0.952, 0.811, 0.218)
H (0.920, 0.484, 0.896)
H (0.292, 0.455, 0.696)
H (0.746, 0.366, 0.145)
H (0.420, 0.516, 0.604)
H (0.086, 0.356, 0.123)
H (0.548, 0.811, 0.718)
H (0.822, 0.265, 0.208)
H (0.914, 0.644, 0.877)
H (0.773, 0.447, 0.240)
H (0.273, 0.553, 0.260)
H (0.414, 0.356, 0.623)
H (0.665, 0.610, 0.745)
H (0.708, 0.545, 0.304)
H (0.254, 0.634, 0.855)
H (0.586, 0.644, 0.377)
H (0.835, 0.610, 0.245)
H (0.178, 0.735, 0.792)
H (0.246, 0.634, 0.355)
H (0.929, 0.749, 0.146)
H (0.754, 0.366, 0.645)
H (0.571, 0.749, 0.646)
O (0.288, 0.475, 0.227)
O (0.589, 0.562, 0.354)
O (0.079, 0.270, 0.800)
O (0.788, 0.525, 0.273)
O (0.746, 0.336, 0.700)
O (0.254, 0.664, 0.300)
O (0.911, 0.562, 0.854)
O (0.246, 0.664, 0.800)
O (0.421, 0.270, 0.300)
O (0.089, 0.438, 0.146)
O (0.754, 0.336, 0.200)
O (0.411, 0.438, 0.646)
O (0.212, 0.475, 0.727)
O (0.921, 0.730, 0.200)
O (0.712, 0.525, 0.773)
O (0.579, 0.730, 0.700)
Br (0.438, 0.235, 0.494)
Br (0.009, 0.085, 0.218)
Br (0.991, 0.915, 0.782)
Br (0.491, 0.085, 0.718)
Br (0.272, 0.564, 0.983)
Br (0.772, 0.436, 0.517)
Br (0.938, 0.765, 0.006)
Br (0.509, 0.915, 0.282)
Br (0.728, 0.436, 0.017)
Br (0.228, 0.564, 0.483)
Br (0.562, 0.765, 0.506)
Br (0.062, 0.235, 0.994)
Cl (0.424, 0.218, 0.099)
Cl (0.076, 0.218, 0.599)
Cl (0.580, 0.718, 0.097)
Cl (0.747, 0.051, 0.591)
Cl (0.249, 0.883, 0.598)
Cl (0.253, 0.949, 0.409)
Cl (0.924, 0.782, 0.401)
Cl (0.251, 0.883, 0.098)
Cl (0.920, 0.718, 0.597)
Cl (0.749, 0.117, 0.902)
Cl (0.753, 0.051, 0.091)
Cl (0.080, 0.282, 0.403)
Cl (0.751, 0.117, 0.402)
Cl (0.576, 0.782, 0.901)
Cl (0.247, 0.949, 0.909)
Cl (0.420, 0.282, 0.903)

Properties
ρ ... 2.7 g/cm³
Energy of formation ... -0.74 eV/atom
Total DFT energy (no corrections) ... -399.48 eV/cell

***

No. 2
WBrCl3O: optimized geometry, PBE+U.

a b c (Å): 3.877 6.796 6.845
angles (deg): 94.05 106.41 73.34
Positions (direct):
W (0.034, 0.002, 0.004)
Cl (0.825, 0.307, 0.818)
Cl (0.131, 0.186, 0.305)
Cl (0.317, 0.696, 0.189)
O (0.561, 0.002, 0.003)
Br (0.010, 0.807, 0.682)

Properties
ρ ... 3.9 g/cm³
Energy of formation ... -0.92 eV/atom
Total DFT energy (no corrections) ... -25.49 eV/cell

***

No. 3
CoH12Br2O12: optimized geometry, PBE+U.

a b c (Å): 10.813 10.813 10.813
angles (deg): 90.00 90.00 90.00
Positions (direct):
O (0.315, 0.673, 0.354)
O (0.315, 0.827, 0.854)
O (0.492, 0.002, 0.304)
O (0.508, 0.502, 0.196)
O (0.196, 0.992, 0.002)
O (0.498, 0.696, 0.992)
O (0.173, 0.354, 0.185)
O (0.327, 0.854, 0.185)
O (0.304, 0.492, 0.002)
O (0.498, 0.804, 0.492)
O (0.327, 0.646, 0.685)
O (0.146, 0.685, 0.173)
O (0.992, 0.002, 0.196)
O (0.827, 0.854, 0.315)
O (0.354, 0.185, 0.173)
O (0.815, 0.673, 0.146)
O (0.008, 0.502, 0.304)
O (0.673, 0.354, 0.315)
O (0.185, 0.327, 0.854)
O (0.304, 0.008, 0.502)
O (0.646, 0.685, 0.327)
O (0.185, 0.173, 0.354)
O (0.815, 0.827, 0.646)
O (0.992, 0.498, 0.696)
O (0.196, 0.508, 0.502)
O (0.354, 0.315, 0.673)
O (0.508, 0.998, 0.696)
O (0.854, 0.185, 0.327)
O (0.998, 0.696, 0.508)
O (0.696, 0.992, 0.498)
O (0.804, 0.008, 0.998)
O (0.673, 0.146, 0.815)
O (0.002, 0.196, 0.992)
O (0.646, 0.815, 0.827)
O (0.804, 0.492, 0.498)
O (0.696, 0.508, 0.998)
O (0.502, 0.304, 0.008)
O (0.008, 0.998, 0.804)
O (0.685, 0.173, 0.146)
O (0.685, 0.327, 0.646)
O (0.173, 0.146, 0.685)
O (0.854, 0.315, 0.827)
O (0.002, 0.304, 0.492)
O (0.827, 0.646, 0.815)
O (0.146, 0.815, 0.673)
O (0.998, 0.804, 0.008)
O (0.502, 0.196, 0.508)
O (0.492, 0.498, 0.804)
Co (0.000, 0.500, 0.500)
Co (0.000, 0.000, 0.000)
Co (0.500, 0.000, 0.500)
Co (0.500, 0.500, 0.000)
Br (0.726, 0.726, 0.726)
Br (0.274, 0.274, 0.274)
Br (0.274, 0.226, 0.774)
Br (0.726, 0.774, 0.226)
Br (0.774, 0.226, 0.726)
Br (0.226, 0.726, 0.774)
Br (0.774, 0.274, 0.226)
Br (0.226, 0.774, 0.274)
H (0.419, 0.764, 0.468)
H (0.968, 0.081, 0.236)
H (0.265, 0.067, 0.442)
H (0.567, 0.058, 0.735)
H (0.468, 0.081, 0.264)
H (0.942, 0.265, 0.433)
H (0.968, 0.419, 0.736)
H (0.558, 0.765, 0.433)
H (0.581, 0.236, 0.532)
H (0.058, 0.735, 0.567)
H (0.735, 0.933, 0.558)
H (0.433, 0.558, 0.765)
H (0.581, 0.264, 0.032)
H (0.235, 0.933, 0.942)
H (0.032, 0.919, 0.764)
H (0.567, 0.442, 0.235)
H (0.919, 0.764, 0.032)
H (0.419, 0.736, 0.968)
H (0.058, 0.765, 0.067)
H (0.933, 0.558, 0.735)
H (0.735, 0.567, 0.058)
H (0.032, 0.581, 0.264)
H (0.919, 0.736, 0.532)
H (0.236, 0.968, 0.081)
H (0.081, 0.264, 0.468)
H (0.442, 0.235, 0.567)
H (0.764, 0.468, 0.419)
H (0.532, 0.581, 0.236)
H (0.067, 0.442, 0.265)
H (0.235, 0.567, 0.442)
H (0.933, 0.942, 0.235)
H (0.442, 0.265, 0.067)
H (0.764, 0.032, 0.919)
H (0.736, 0.532, 0.919)
H (0.264, 0.468, 0.081)
H (0.942, 0.235, 0.933)
H (0.532, 0.919, 0.736)
H (0.765, 0.067, 0.058)
H (0.468, 0.419, 0.764)
H (0.265, 0.433, 0.942)
H (0.067, 0.058, 0.765)
H (0.558, 0.735, 0.933)
H (0.236, 0.532, 0.581)
H (0.736, 0.968, 0.419)
H (0.765, 0.433, 0.558)
H (0.081, 0.236, 0.968)
H (0.264, 0.032, 0.581)
H (0.433, 0.942, 0.265)

Properties
ρ ... 2.2 g/cm³
Energy of formation ... -1.02 eV/atom
Total DFT energy (no corrections) ... -512.14 eV/cell

***

The highest energy of formation belongs to which entry?
Mo3H9Br3Cl4O4